1.
Here is crystalline K2U2O7 at its relaxed geometry from Materials Project. Energies are from PBE.

Cell lengths 6.9876, 8.0628, 7.1853 Å; angles 90.00, 109.19, 90.00 degrees
Element x y z (fractional)
K 0.0136 0.0000 0.0034
K 0.4796 0.7570 0.9940
K 0.5204 0.2570 0.0060
K 0.9864 0.5000 0.9966
U 0.0308 0.2588 0.5051
U 0.4795 0.5007 0.4960
U 0.5205 0.0007 0.5040
U 0.9692 0.7588 0.4949
O 0.0617 0.7458 0.7722
O 0.1228 0.2573 0.7824
O 0.1510 0.5233 0.4883
O 0.2323 0.8989 0.4985
O 0.3651 0.2443 0.5128
O 0.3874 0.4991 0.2174
O 0.4282 0.0131 0.2255
O 0.5718 0.5131 0.7745
O 0.6126 0.9991 0.7826
O 0.6349 0.7443 0.4872
O 0.7677 0.3989 0.5015
O 0.8490 0.0233 0.5117
O 0.8772 0.7573 0.2176
O 0.9383 0.2458 0.2278

Energy above the most stable polymorph in this dataset (eV/atom): 0.000
Crystal system: monoclinic
DFT formation energy (eV/f.u.): -36.615
Symmetry: No. 4

2.
Here is crystalline K4XeO15 at its relaxed geometry from Materials Project. Energies are from PBE.

Cell lengths 11.7543, 8.7910, 15.9084 Å; angles 90.00, 90.00, 90.00 degrees
Element x y z (fractional)
K 0.0106 0.1271 0.0000
K 0.0430 0.6000 0.3081
K 0.2127 0.3597 0.6122
K 0.2170 0.8655 0.6897
K 0.2830 0.8655 0.1897
K 0.2873 0.3597 0.1122
K 0.4570 0.6000 0.8081
K 0.4894 0.1271 0.5000
K 0.5106 0.8729 0.0000
K 0.5430 0.4000 0.3081
K 0.7127 0.6403 0.6122
K 0.7170 0.1345 0.6897
K 0.7830 0.1345 0.1897
K 0.7873 0.6403 0.1122
K 0.9570 0.4000 0.8081
K 0.9894 0.8729 0.5000
Xe 0.0253 0.7500 0.9229
Xe 0.4747 0.7500 0.4229
Xe 0.5253 0.2500 0.9229
Xe 0.9747 0.2500 0.4229
O 0.0097 0.5173 0.5966
O 0.0371 0.1184 0.6840
O 0.0682 0.5948 0.5336
O 0.0761 0.1870 0.1782
O 0.0874 0.1270 0.7565
O 0.0995 0.5182 0.0800
O 0.1308 0.1324 0.2401
O 0.1338 0.5836 0.7454
O 0.1681 0.3562 0.9079
O 0.1676 0.8818 0.3632
O 0.1723 0.0643 0.5444
O 0.2173 0.0420 0.0524
O 0.2367 0.4223 0.4001
O 0.2418 0.9617 0.8620
O 0.2453 0.5763 0.7513
O 0.2547 0.5763 0.2513
O 0.2582 0.9617 0.3620
O 0.2633 0.4223 0.9001
O 0.2827 0.0420 0.5524
O 0.3277 0.0643 0.0444
O 0.3319 0.3562 0.4079
O 0.3324 0.8818 0.8632
O 0.3662 0.5836 0.2454
O 0.3692 0.1324 0.7401
O 0.4005 0.5182 0.5800
O 0.4126 0.1270 0.2565
O 0.4239 0.1870 0.6782
O 0.4318 0.5948 0.0336
O 0.4629 0.1184 0.1840
O 0.4903 0.5173 0.0966
O 0.5097 0.4827 0.5966
O 0.5371 0.8816 0.6840
O 0.5682 0.4052 0.5336
O 0.5761 0.8130 0.1782
O 0.5874 0.8730 0.7565
O 0.5995 0.4818 0.0800
O 0.6308 0.8676 0.2401
O 0.6338 0.4164 0.7454
O 0.6676 0.1182 0.3632
O 0.6681 0.6438 0.9079
O 0.6723 0.9357 0.5444
O 0.7173 0.9580 0.0524
O 0.7367 0.5777 0.4001
O 0.7418 0.0383 0.8620
O 0.7453 0.4237 0.7513
O 0.7547 0.4237 0.2513
O 0.7582 0.0383 0.3620
O 0.7633 0.5777 0.9001
O 0.7827 0.9580 0.5524
O 0.8277 0.9357 0.0444
O 0.8324 0.1182 0.8632
O 0.8319 0.6438 0.4079
O 0.8662 0.4164 0.2454
O 0.8692 0.8676 0.7401
O 0.9005 0.4818 0.5800
O 0.9126 0.8730 0.2565
O 0.9239 0.8130 0.6782
O 0.9318 0.4052 0.0336
O 0.9629 0.8816 0.1840
O 0.9903 0.4827 0.0966

Crystal system: orthorhombic
DFT formation energy (eV/f.u.): -7.217
Symmetry: No. 29

3.
Here is crystalline K6YO4 at its relaxed geometry from Materials Project. Energies are from PBE.

Cell lengths 9.3953, 9.3953, 6.7147 Å; angles 90.00, 90.00, 120.00 degrees
Element x y z (fractional)
K 0.0838 0.5419 0.0000
K 0.1322 0.2644 0.6814
K 0.1322 0.8678 0.6814
K 0.2644 0.1322 0.1814
K 0.4581 0.5419 0.0000
K 0.4581 0.9162 0.0000
K 0.5419 0.0838 0.5000
K 0.5419 0.4581 0.5000
K 0.7356 0.8678 0.6814
K 0.8678 0.1322 0.1814
K 0.8678 0.7356 0.1814
K 0.9162 0.4581 0.5000
Y 0.3333 0.6667 0.4171
Y 0.6667 0.3333 0.9171
O 0.2094 0.4189 0.2980
O 0.2094 0.7906 0.2980
O 0.3333 0.6667 0.7399
O 0.4189 0.2094 0.7980
O 0.5811 0.7906 0.2980
O 0.6667 0.3333 0.2399
O 0.7906 0.2094 0.7980
O 0.7906 0.5811 0.7980

Crystal system: hexagonal
DFT formation energy (eV/f.u.): -18.987
Symmetry: No. 186

4.
Here is crystalline KYO3 at its relaxed geometry from Materials Project. Energies are from PBE.

Cell lengths 4.4975, 4.4975, 4.4975 Å; angles 90.00, 90.00, 90.00 degrees
Element x y z (fractional)
K 0.0000 0.0000 0.0000
Y 0.5000 0.5000 0.5000
O 0.0000 0.5000 0.5000
O 0.5000 0.0000 0.5000
O 0.5000 0.5000 0.0000

Crystal system: cubic
DFT formation energy (eV/f.u.): -11.358
Symmetry: No. 221

Number 1: raw total energy -91.245 eV per formula unit. Number 2: raw total energy -85.914 eV per formula unit. Number 3: raw total energy -49.160 eV per formula unit. Number 4: raw total energy -31.718 eV per formula unit.